[1]
Material: Ce2CdS4
Method: DFT, GGA-PBE
State: relaxed

Cell and atoms, written as CIF:
```
data_Ce2CdS4
_cell_length_a 8.436
_cell_length_b 8.436
_cell_length_c 8.854
_cell_angle_alpha 90.00
_cell_angle_beta 90.00
_cell_angle_gamma 90.00
_symmetry_space_group_name_H-M 'I -4 2 d'
_symmetry_Int_Tables_number 122
_symmetry_space_group_name_Hall 'I -4 2bw'
loop_
_atom_site_label
_atom_site_type_symbol
_atom_site_fract_x
_atom_site_fract_y
_atom_site_fract_z
_atom_site_occupancy
Ce1 Ce 0.139 0.750 0.125 1
Cd1 Cd 0.000 0.000 0.500 1
S1 S 0.071 0.692 0.438 1
```

Summary:
DFT total energy ... -0.2098 Ha/atom
Total magnetic moment ... 0.286 μB/atom

***

[2]
Material: BaIrF6
Method: DFT, GGA-PBE
State: relaxed

Cell and atoms, written as CIF:
```
data_BaIrF6
_cell_length_a 7.6137
_cell_length_b 7.6137
_cell_length_c 7.3780
_cell_angle_alpha 90.00
_cell_angle_beta 90.00
_cell_angle_gamma 120.00
_symmetry_space_group_name_H-M 'R -3'
_symmetry_Int_Tables_number 148
_symmetry_space_group_name_Hall '-R 3'
loop_
_atom_site_label
_atom_site_type_symbol
_atom_site_fract_x
_atom_site_fract_y
_atom_site_fract_z
_atom_site_occupancy
Ba1 Ba 0.0000 0.0000 0.0000 1
Ir1 Ir 0.0000 0.0000 0.5000 1
F1 F 0.0963 0.2344 0.6640 1
```

Summary:
DFT total energy ... -0.1913 Ha/atom

***

[3]
Material: Be3Co
Method: DFT, GGA-PBE
State: relaxed

Cell and atoms, written as CIF:
```
data_Be3Co
_cell_length_a 3.089
_cell_length_b 3.089
_cell_length_c 6.952
_cell_angle_alpha 90.00
_cell_angle_beta 90.00
_cell_angle_gamma 90.00
_symmetry_space_group_name_H-M 'I 4/m m m'
_symmetry_Int_Tables_number 139
_symmetry_space_group_name_Hall '-I 4 2'
loop_
_atom_site_label
_atom_site_type_symbol
_atom_site_fract_x
_atom_site_fract_y
_atom_site_fract_z
_atom_site_occupancy
Be1 Be 0.000 0.000 0.000 1
Be2 Be 0.000 0.500 0.250 1
Co1 Co 0.000 0.000 0.500 1
```

Summary:
DFT total energy ... -0.1777 Ha/atom

***

[4]
Material: RbCeMg14
Method: DFT, GGA-PBE
State: relaxed

Cell and atoms, written as CIF:
```
data_RbCeMg14
_cell_length_a 10.753
_cell_length_b 6.644
_cell_length_c 11.617
_cell_angle_alpha 90.00
_cell_angle_beta 90.00
_cell_angle_gamma 90.00
_symmetry_space_group_name_H-M 'A m m 2'
_symmetry_Int_Tables_number 38
_symmetry_space_group_name_Hall 'A 2 -2'
loop_
_atom_site_label
_atom_site_type_symbol
_atom_site_fract_x
_atom_site_fract_y
_atom_site_fract_z
_atom_site_occupancy
Rb1 Rb 0.000 0.000 0.000 1
Ce1 Ce 0.000 0.000 0.495 1
Mg1 Mg 0.000 0.245 0.750 1
Mg2 Mg 0.252 0.000 0.669 1
Mg3 Mg 0.260 0.000 0.175 1
Mg4 Mg 0.269 0.244 0.415 1
Mg5 Mg 0.500 0.000 0.003 1
Mg6 Mg 0.500 0.000 0.504 1
Mg7 Mg 0.500 0.248 0.750 1
```

Summary:
E above lowest polymorph ... 0.19 eV per formula unit
DFT total energy ... -0.0612 Ha/atom
Total magnetic moment ... 0.092 μB/atom

***

[5]
Material: Eu3Re
Method: DFT, GGA-PBE
State: relaxed

Cell and atoms, written as CIF:
```
data_Eu3Re
_cell_length_a 4.985
_cell_length_b 4.985
_cell_length_c 8.793
_cell_angle_alpha 90.00
_cell_angle_beta 90.00
_cell_angle_gamma 90.00
_symmetry_space_group_name_H-M 'I 4/m m m'
_symmetry_Int_Tables_number 139
_symmetry_space_group_name_Hall '-I 4 2'
loop_
_atom_site_label
_atom_site_type_symbol
_atom_site_fract_x
_atom_site_fract_y
_atom_site_fract_z
_atom_site_occupancy
Eu1 Eu 0.000 0.000 0.000 1
Eu2 Eu 0.000 0.500 0.250 1
Re1 Re 0.000 0.000 0.500 1
```

Summary:
E above lowest polymorph ... 0.00 eV per formula unit
DFT total energy ... -0.3756 Ha/atom
Total magnetic moment ... 5.048 μB/atom

***

[6]
Material: Bi
Method: DFT, GGA-PBE
State: relaxed

Cell and atoms, written as CIF:
```
data_Bi
_cell_length_a 8.899
_cell_length_b 8.899
_cell_length_c 4.131
_cell_angle_alpha 90.00
_cell_angle_beta 90.00
_cell_angle_gamma 90.00
_symmetry_space_group_name_H-M 'I 4/m c m'
_symmetry_Int_Tables_number 140
_symmetry_space_group_name_Hall '-I 4 2c'
loop_
_atom_site_label
_atom_site_type_symbol
_atom_site_fract_x
_atom_site_fract_y
_atom_site_fract_z
_atom_site_occupancy
Bi1 Bi 0.146 0.354 0.000 1
```

Summary:
E above lowest polymorph ... 0.21 eV per formula unit
DFT total energy ... -0.1351 Ha/atom
Total magnetic moment ... 0.000 μB/atom

***

[7]
Material: YAgSb2
Method: DFT, GGA-PBE
State: relaxed

Cell and atoms, written as CIF:
```
data_YAgSb2
_cell_length_a 4.345
_cell_length_b 4.345
_cell_length_c 10.551
_cell_angle_alpha 90.00
_cell_angle_beta 90.00
_cell_angle_gamma 90.00
_symmetry_space_group_name_H-M 'P 4/n m m'
_symmetry_Int_Tables_number 129
loop_
_symmetry_equiv_pos_as_xyz
'x,y,z'
'-x,-y,-z'
'-y+1/2,x,z'
'y+1/2,-x,-z'
'-x+1/2,-y+1/2,z'
'x+1/2,y+1/2,-z'
'y,-x+1/2,z'
'-y,x+1/2,-z'
'x+1/2,-y,-z'
'-x+1/2,y,z'
'-y,-x,-z'
'y,x,z'
'-x,y+1/2,-z'
'x,-y+1/2,z'
'y+1/2,x+1/2,-z'
'-y+1/2,-x+1/2,z'
loop_
_atom_site_label
_atom_site_type_symbol
_atom_site_fract_x
_atom_site_fract_y
_atom_site_fract_z
_atom_site_occupancy
Y1 Y 0.250 0.250 0.234 1
Ag1 Ag 0.250 0.750 0.500 1
Sb1 Sb 0.250 0.250 0.684 1
Sb2 Sb 0.250 0.750 0.000 1
```

Summary:
DFT total energy ... -0.1841 Ha/atom

***

[8]
Material: MgIn2N2
Method: DFT, GGA-PBE
State: relaxed

Cell and atoms, written as CIF:
```
data_MgIn2N2
_cell_length_a 3.3403
_cell_length_b 3.3403
_cell_length_c 23.3175
_cell_angle_alpha 90.00
_cell_angle_beta 90.00
_cell_angle_gamma 120.00
_symmetry_space_group_name_H-M 'R -3 m'
_symmetry_Int_Tables_number 166
_symmetry_space_group_name_Hall '-R 3 2"'
loop_
_atom_site_label
_atom_site_type_symbol
_atom_site_fract_x
_atom_site_fract_y
_atom_site_fract_z
_atom_site_occupancy
Mg1 Mg 0.0000 0.0000 0.0000 1
In1 In 0.0000 0.0000 0.4390 1
N1 N 0.0000 0.0000 0.2773 1
```

Summary:
DFT total energy ... -0.1804 Ha/atom
Total magnetic moment ... 0.000 μB/atom